DFT (PBE) results for an optimized crystal structure of HfMg6SnO8.

Values from the calculation:
E (MP2020) = -103.03 eV/cell
energy relative to the lowest polymorph listed for this composition = 0 meV per atom
E = -6.096 eV per atom
formation enthalpy at 0 K = -39.9 eV/f.u.
symmetry = P4/mmm, No. 123

a b c (Å): 10.314 4.359 4.359
angles (deg): 90.00 90.00 90.00
Element x y z (fractional)
Mg: 0.775 0.000 0.500
Sn: 0.000 0.000 0.000
Mg: 0.225 0.000 0.500
O: 0.500 0.500 0.000
Hf: 0.500 0.000 0.000
Mg: 0.000 0.500 0.500
Mg: 0.500 0.500 0.500
O: 0.000 0.000 0.500
Mg: 0.225 0.500 0.000
O: 0.500 0.000 0.500
O: 0.301 0.000 0.000
O: 0.217 0.500 0.500
O: 0.000 0.500 0.000
O: 0.699 0.000 0.000
O: 0.783 0.500 0.500
Mg: 0.775 0.500 0.000